The following is a PBE with a Hubbard U calculation of crystalline MgCr4Hg4H4O18 at its relaxed geometry, from the Materials Project.

Unit cell a=5.382 b=6.394 c=14.490 alpha=78.06 beta=80.20 gamma=68.26
Space group P1 (No. 1)
One atom of each set of equivalent atoms:
Mg1 0.000 0.000 0.000 [1 per cell]
Cr1 0.222 0.777 0.453 [1 per cell]
Cr2 0.334 0.168 0.636 [1 per cell]
Cr3 0.519 0.268 0.939 [1 per cell]
Cr4 0.917 0.683 0.164 [1 per cell]
Hg1 0.126 0.123 0.198 [1 per cell]
Hg2 0.637 0.743 0.925 [1 per cell]
Hg3 0.706 0.590 0.660 [1 per cell]
Hg4 0.847 0.350 0.430 [1 per cell]
H1 0.157 0.622 0.811 [1 per cell]
H2 0.460 0.344 0.274 [1 per cell]
H3 0.554 0.121 0.345 [1 per cell]
H4 0.968 0.849 0.760 [1 per cell]
O1 0.048 0.783 0.556 [1 per cell]
O2 0.102 0.876 0.135 [1 per cell]
O3 0.134 0.425 0.222 [1 per cell]
O4 0.137 0.632 0.393 [1 per cell]
O5 0.159 0.054 0.392 [1 per cell]
O6 0.286 0.129 0.956 [1 per cell]
O7 0.410 0.891 0.694 [1 per cell]
O8 0.416 0.314 0.697 [1 per cell]
O9 0.430 0.546 0.876 [1 per cell]
O10 0.499 0.173 0.531 [1 per cell]
O11 0.559 0.653 0.470 [1 per cell]
O12 0.619 0.238 0.306 [1 per cell]
O13 0.623 0.796 0.220 [1 per cell]
O14 0.635 0.246 0.042 [1 per cell]
O15 0.800 0.087 0.881 [1 per cell]
O16 0.904 0.704 0.040 [1 per cell]
O17 0.979 0.692 0.785 [1 per cell]
O18 0.992 0.286 0.623 [1 per cell]

ΔE to the lowest computed polymorph = 25 meV/atom
Magnetization = 0.00 μB/atom
Uncorrected energy = -5.3472 eV per atom
E_form = -1357 meV/atom